# Ba2PrTaO6

Crystalline Ba2PrTaO6 at its relaxed geometry (PBE, the Materials Project).

Output
crystal system: cubic
space group: Fm-3m
formation energy from the elements: -333.8 kJ/mol of atoms

a = 6.177 Å, b = 6.177 Å, c = 6.177 Å
α = 60.00°, β = 60.00°, γ = 60.00°
Atoms (fractional coordinates):
1 Ba 0.250 0.250 0.250
2 Ba 0.750 0.750 0.750
3 Pr 0.500 0.500 0.500
4 Ta 0.000 0.000 0.000
5 O 0.770 0.230 0.230
6 O 0.230 0.770 0.770
7 O 0.230 0.770 0.230
8 O 0.770 0.230 0.770
9 O 0.230 0.230 0.770
10 O 0.770 0.770 0.230

# Pr3Bi4Pt3

Crystalline Pr3Bi4Pt3 at its relaxed geometry (PBE, the Materials Project).

Output
crystal system: cubic
space group: I-43d
formation energy from the elements: -81.2 kJ/mol of atoms

a = 8.819 Å, b = 8.819 Å, c = 8.819 Å
α = 109.47°, β = 109.47°, γ = 109.47°
Atoms (fractional coordinates):
1 Pr 0.125 0.875 0.250
2 Pr 0.375 0.625 0.750
3 Pr 0.875 0.250 0.125
4 Pr 0.625 0.750 0.375
5 Pr 0.250 0.125 0.875
6 Pr 0.750 0.375 0.625
7 Bi 0.326 0.326 0.326
8 Bi 0.174 0.500 0.000
9 Bi 0.000 0.174 0.500
10 Bi 0.826 0.826 0.826
11 Bi 0.500 0.000 0.174
12 Bi 0.674 0.500 0.000
13 Bi 0.500 0.000 0.674
14 Bi 0.000 0.674 0.500
15 Pt 0.625 0.375 0.250
16 Pt 0.875 0.125 0.750
17 Pt 0.375 0.250 0.625
18 Pt 0.125 0.750 0.875
19 Pt 0.250 0.625 0.375
20 Pt 0.750 0.875 0.125